No. 1
4
Lattice="3.185 -3.164 2.121 1.938 1.039 4.452 -1.386 -2.620 3.984" Properties=species:S:1:pos:R:3 comment="NdAgAu2 | Materials Project | r²SCAN | optimized geometry" e_form_mev_per_atom=-623 total_energy_ev_per_atom=-38.61 pbc="T T T"
Nd 2.803 -3.559 7.918
Ag 0.934 -1.186 2.639
Au 0.000 0.000 0.000
Au 1.869 -2.373 5.279


No. 2
5
Lattice="-1.913 1.580 -4.211 -4.005 -2.679 0.814 -2.045 3.769 2.343" Properties=species:S:1:pos:R:3 comment="Y3SnC | Materials Project | r²SCAN | optimized geometry" e_form_mev_per_atom=-785 total_energy_ev_per_atom=-19.91 pbc="T T T"
Y -1.979 2.675 -0.934
Y -3.025 0.545 1.579
Y -2.959 -0.550 -1.698
Sn 0.000 0.000 0.000
C -3.981 1.335 -0.527


Q: Which formula does entry 2 have?
A: Y3SnC